First-principles (PBE with a Hubbard U) data for a relaxed structure of FeP2O7, as listed in the Materials Project.

Summary:
Total energy (eV per cell): -277.97
E above lowest polymorph (meV/atom): 0
Energy relative to the elements (meV per atom): -2262.5

abc: 8.3449 5.2432 13.6806
angles: 90.00 109.55 90.00
Last column: nearest neighbours and their distance in Å.
Space group P2_1/c (No. 14)
Symmetry-distinct sites (fractional):
Fe 0.2325 0.2486 0.1432  6 O 1.99-2.03
P 0.1975 0.7381 0.9800  4 O 1.51-1.61
P 0.3293 0.7297 0.8027  4 O 1.52-1.61
O 0.0201 0.7124 0.4031  1 P 1.52
O 0.2158 0.0378 0.5188  1 P 1.53
O 0.2314 0.5508 0.2357  1 P 1.53
O 0.2415 0.0281 0.2670  1 P 1.54
O 0.2522 0.5700 0.5677  1 P 1.51
O 0.3316 0.7268 0.4194  2 P 1.61
O 0.4852 0.2234 0.6898  1 P 1.52